Material: NaPrEuNiO6
Method: DFT, GGA+U
State: relaxed

Summary:
- Mass density: 5.94 Mg/m³
- E: -6.609 eV per atom
- Energy relative to the elements: -19.589 eV/f.u.

Structure (CIF):
```
data_NaPrEuNiO6
_cell_length_a 5.239
_cell_length_b 5.239
_cell_length_c 9.594
_cell_angle_alpha 90.00
_cell_angle_beta 90.00
_cell_angle_gamma 90.00
_space_group_name_H-M_alt 'P -4 n 2'
_space_group_IT_number 118
loop_
_space_group_symop_operation_xyz
'x,y,z'
'y,-x,-z'
'-x,-y,z'
'-y,x,-z'
'-x+1/2,y+1/2,z+1/2'
'-y+1/2,-x+1/2,-z+1/2'
'x+1/2,-y+1/2,z+1/2'
'y+1/2,x+1/2,-z+1/2'
loop_
_atom_site_label
_atom_site_type_symbol
_atom_site_fract_x
_atom_site_fract_y
_atom_site_fract_z
Na1 Na 0.000 0.000 0.000
Pr1 Pr 0.000 0.500 0.750
Eu1 Eu 0.000 0.500 0.250
Ni1 Ni 0.000 0.000 0.500
O1 O 0.000 0.000 0.264
O2 O 0.090 0.381 0.502
```